Record 1
# ErCo2

ErCo2 after structural relaxation (meta-GGA r2SCAN, Materials Project).

Structure (POSCAR):
```
ErCo2
1.0
0.000 3.548 3.548
3.548 0.000 3.548
3.548 3.548 0.000
Er Co
2 4
Direct
0.125 0.125 0.125
0.875 0.875 0.875
0.000 0.500 0.500
0.500 0.000 0.500
0.500 0.500 0.000
0.500 0.500 0.500
```

Results
SG   Fd-3m, No. 227
Formation energy from the elements   -50 kJ/mol of formula units

Record 2
# ErCo3

ErCo3 after structural relaxation (meta-GGA r2SCAN, Materials Project).

Structure (POSCAR):
```
ErCo3
1.0
2.487 1.436 7.982
-2.487 1.436 7.982
0.000 -2.872 7.982
Er Co
3 9
Direct
0.000 0.000 0.000
0.142 0.142 0.142
0.858 0.858 0.858
0.091 0.576 0.576
0.329 0.329 0.329
0.424 0.424 0.909
0.424 0.909 0.424
0.500 0.500 0.500
0.576 0.091 0.576
0.576 0.576 0.091
0.671 0.671 0.671
0.909 0.424 0.424
```

Results
SG   R-3m, No. 166
Formation energy from the elements   -57 kJ/mol of formula units

Record 3
# ErGaCo

ErGaCo after structural relaxation (meta-GGA r2SCAN, Materials Project).

Structure (POSCAR):
```
ErGaCo
1.0
6.577 0.000 0.000
0.000 4.088 0.000
0.000 0.000 7.508
Er Ga Co
4 4 4
Direct
0.025 0.250 0.184
0.475 0.750 0.684
0.525 0.250 0.316
0.975 0.750 0.816
0.153 0.250 0.563
0.347 0.750 0.063
0.653 0.250 0.937
0.847 0.750 0.437
0.227 0.750 0.379
0.273 0.250 0.879
0.727 0.750 0.121
0.773 0.250 0.621
```

Results
SG   Pnma, No. 62
Formation energy from the elements   -125 kJ/mol of formula units

Record 4
# Er2Ga8Co

Er2Ga8Co after structural relaxation (meta-GGA r2SCAN, Materials Project).

Structure (POSCAR):
```
Er2Ga8Co
1.0
4.170 0.000 0.000
0.000 4.170 0.000
0.000 0.000 10.967
Er Ga Co
2 8 1
Direct
0.000 0.000 0.194
0.000 0.000 0.806
0.000 0.500 0.000
0.000 0.500 0.384
0.000 0.500 0.616
0.500 0.000 0.000
0.500 0.000 0.384
0.500 0.000 0.616
0.500 0.500 0.195
0.500 0.500 0.805
0.000 0.000 0.500
```

Results
SG   P4/mmm, No. 123
Formation energy from the elements   -520 kJ/mol of formula units

Record 5
# Er2Co3Ge5

Er2Co3Ge5 after structural relaxation (meta-GGA r2SCAN, Materials Project).

Structure (POSCAR):
```
Er2Co3Ge5
1.0
5.450 -5.842 0.000
5.450 5.842 0.000
-2.786 0.000 4.954
Er Co Ge
4 6 10
Direct
0.095 0.373 0.233
0.373 0.095 0.733
0.627 0.905 0.267
0.905 0.627 0.767
0.042 0.762 0.380
0.238 0.958 0.120
0.496 0.504 0.250
0.504 0.496 0.750
0.762 0.042 0.880
0.958 0.238 0.620
0.010 0.990 0.750
0.238 0.423 0.826
0.271 0.729 0.750
0.285 0.715 0.250
0.423 0.238 0.326
0.577 0.762 0.674
0.715 0.285 0.750
0.729 0.271 0.250
0.762 0.577 0.174
0.990 0.010 0.250
```

Results
SG   C2/c, No. 15
Formation energy from the elements   -515 kJ/mol of formula units

Record 6
# Er2CoGe2

Er2CoGe2 after structural relaxation (meta-GGA r2SCAN, Materials Project).

Structure (POSCAR):
```
Er2CoGe2
1.0
5.136 -2.069 0.000
5.136 2.069 0.000
-4.615 0.000 8.923
Er Co Ge
4 2 4
Direct
0.008 0.008 0.334
0.189 0.189 0.117
0.811 0.811 0.883
0.992 0.992 0.666
0.274 0.274 0.658
0.726 0.726 0.342
0.342 0.342 0.439
0.486 0.486 0.122
0.514 0.514 0.878
0.658 0.658 0.561
```

Results
SG   C2/m, No. 12
Formation energy from the elements   -374 kJ/mol of formula units

Record 7
# ErCoGe

ErCoGe after structural relaxation (meta-GGA r2SCAN, Materials Project).

Structure (POSCAR):
```
ErCoGe
1.0
6.813 0.000 0.000
0.000 4.193 0.000
0.000 0.000 7.047
Er Co Ge
4 4 4
Direct
0.013 0.250 0.198
0.487 0.750 0.698
0.513 0.250 0.302
0.987 0.750 0.802
0.153 0.750 0.436
0.347 0.250 0.936
0.653 0.750 0.064
0.847 0.250 0.564
0.203 0.250 0.603
0.297 0.750 0.103
0.703 0.250 0.897
0.797 0.750 0.397
```

Results
SG   Pnma, No. 62
Formation energy from the elements   -188 kJ/mol of formula units

Record 8
# Er7CoI12

Er7CoI12 after structural relaxation (meta-GGA r2SCAN, Materials Project).

Structure (POSCAR):
```
Er7CoI12
1.0
7.698 4.444 3.586
-7.698 4.444 3.586
0.000 -8.889 3.586
Er Co I
7 1 12
Direct
0.000 0.000 0.000
0.214 0.478 0.409
0.409 0.214 0.478
0.478 0.409 0.214
0.522 0.591 0.786
0.591 0.786 0.522
0.786 0.522 0.591
0.500 0.500 0.500
0.034 0.112 0.340
0.112 0.340 0.034
0.176 0.571 0.726
0.274 0.824 0.429
0.340 0.034 0.112
0.429 0.274 0.824
0.571 0.726 0.176
0.660 0.966 0.888
0.726 0.176 0.571
0.824 0.429 0.274
0.888 0.660 0.966
0.966 0.888 0.660
```

Results
SG   R-3, No. 148
Formation energy from the elements   -2666 kJ/mol of formula units